Density functional theory data (PBE+U) for a relaxed Li3V2P5O18 crystal.

The energy of formation comes out at -2.597 eV per atom. For the energy with MP2020 corrections, the calculation gives -7.597 eV per atom. Its space group is No. 2. As for the crystal system: triclinic.

Geometry as POSCAR:
```
Li3V2P5O18
1.0
-5.718 -0.881 2.828
-3.468 -2.156 -8.391
3.295 -9.777 2.331
O Li P V
36 6 10 4
direct
0.665 0.067 0.150
0.215 0.251 0.243
0.937 0.360 0.402
0.719 0.453 0.701
0.364 0.240 0.030
0.725 0.112 0.526
0.610 0.825 0.250
0.973 0.018 0.690
0.307 0.625 0.793
0.006 0.318 0.810
0.785 0.749 0.757
0.738 0.578 0.401
0.535 0.350 0.419
0.063 0.640 0.598
0.581 0.953 0.684
0.090 0.430 0.096
0.419 0.047 0.316
0.262 0.422 0.599
0.465 0.650 0.581
0.668 0.081 0.900
0.218 0.163 0.480
0.027 0.982 0.310
0.994 0.682 0.190
0.782 0.837 0.520
0.687 0.365 0.931
0.910 0.570 0.904
0.693 0.375 0.207
0.390 0.175 0.750
0.016 0.824 0.955
0.313 0.635 0.069
0.332 0.919 0.100
0.335 0.933 0.850
0.636 0.760 0.970
0.281 0.547 0.299
0.275 0.888 0.474
0.984 0.176 0.045
0.553 0.269 0.599
0.874 0.791 0.333
0.447 0.731 0.401
0.006 0.939 0.131
0.994 0.061 0.869
0.126 0.209 0.667
0.830 0.417 0.826
0.485 0.045 0.798
0.220 0.009 0.398
0.278 0.585 0.649
0.170 0.583 0.174
0.515 0.955 0.202
0.830 0.727 0.897
0.780 0.991 0.602
0.170 0.273 0.103
0.722 0.415 0.351
0.670 0.228 0.048
0.330 0.772 0.952
0.227 0.346 0.409
0.773 0.654 0.591
```

Density functional theory data (PBE+U) for a relaxed Li5V3P8O29 crystal.

The energy of formation comes out at -2.617 eV per atom. For the energy with MP2020 corrections, the calculation gives -7.586 eV per atom. Its space group is No. 9. As for the crystal system: monoclinic.

Geometry as POSCAR:
```
Li5V3P8O29
1.0
0.949 -6.056 7.676
5.210 -8.282 -0.868
11.579 6.810 4.002
O P V Li
58 16 6 10
direct
0.512 0.819 0.829
0.382 0.520 0.823
0.790 0.000 0.750
0.991 0.249 0.565
0.339 0.917 0.665
0.666 0.674 0.978
0.081 0.256 0.337
0.515 0.674 0.334
0.998 0.758 0.432
0.749 0.917 0.157
0.004 0.754 0.068
0.005 0.210 0.746
0.764 0.240 0.070
0.917 0.749 0.657
0.256 0.081 0.837
0.335 0.746 0.165
0.488 0.326 0.667
0.746 0.335 0.665
0.487 0.188 0.167
0.185 0.334 0.174
0.233 0.997 0.427
0.243 0.758 0.931
0.249 0.991 0.065
0.326 0.488 0.167
0.480 0.898 0.176
0.520 0.382 0.323
0.621 0.480 0.175
0.673 0.817 0.330
0.905 0.617 0.177
0.480 0.621 0.675
0.617 0.905 0.677
0.000 0.790 0.250
0.251 0.664 0.343
0.898 0.480 0.676
0.521 0.096 0.822
0.674 0.515 0.834
0.754 0.004 0.568
0.336 0.330 0.521
0.380 0.100 0.325
0.100 0.380 0.825
0.917 0.339 0.165
0.330 0.336 0.021
0.997 0.233 0.927
0.188 0.487 0.667
0.096 0.521 0.322
0.334 0.185 0.674
0.664 0.083 0.340
0.240 0.764 0.570
0.758 0.243 0.431
0.817 0.673 0.830
0.083 0.664 0.840
0.758 0.998 0.932
0.674 0.666 0.478
0.210 0.790 0.750
0.210 0.005 0.246
0.790 0.210 0.250
0.664 0.251 0.843
0.819 0.512 0.329
0.670 0.665 0.372
0.665 0.670 0.872
0.767 0.914 0.659
0.769 0.321 0.159
0.680 0.232 0.341
0.087 0.680 0.342
0.232 0.680 0.841
0.321 0.769 0.659
0.680 0.087 0.842
0.914 0.318 0.657
0.232 0.086 0.341
0.336 0.336 0.128
0.914 0.767 0.159
0.336 0.336 0.628
0.318 0.914 0.157
0.086 0.232 0.841
0.427 0.005 0.746
0.566 0.000 0.250
0.433 0.570 0.252
0.000 0.566 0.750
0.570 0.433 0.752
0.005 0.427 0.246
0.908 0.771 0.940
0.680 0.095 0.061
0.095 0.680 0.561
0.229 0.680 0.061
0.318 0.911 0.941
0.319 0.778 0.442
0.680 0.229 0.561
0.771 0.908 0.440
0.778 0.319 0.942
0.911 0.318 0.441
```

Density functional theory data (PBE+U) for a relaxed Li5V3P8O29 crystal.

The energy of formation comes out at -2.618 eV per atom. For the energy with MP2020 corrections, the calculation gives -7.587 eV per atom. Its space group is No. 1. As for the crystal system: triclinic.

Geometry as POSCAR:
```
Li5V3P8O29
1.0
-7.613 -4.811 -3.717
-0.565 -9.703 0.979
-7.019 1.424 12.158
V P O Li
6 16 58 10
direct
0.435 0.563 0.751
0.005 0.440 0.746
0.566 0.996 0.751
0.566 0.434 0.245
0.999 0.568 0.252
0.437 0.000 0.254
0.314 0.777 0.157
0.781 0.915 0.165
0.330 0.333 0.132
0.224 0.087 0.838
0.687 0.089 0.347
0.665 0.664 0.867
0.225 0.685 0.339
0.337 0.334 0.633
0.919 0.783 0.658
0.083 0.693 0.844
0.081 0.221 0.340
0.777 0.316 0.660
0.917 0.315 0.154
0.688 0.222 0.842
0.311 0.911 0.656
0.668 0.661 0.368
0.529 0.090 0.331
0.219 0.776 0.426
0.193 0.329 0.678
0.377 0.094 0.825
0.913 0.350 0.660
0.797 0.207 0.752
0.380 0.530 0.327
0.657 0.085 0.839
0.920 0.743 0.167
0.010 0.198 0.241
0.490 0.185 0.670
0.344 0.919 0.163
0.008 0.787 0.929
0.748 0.337 0.155
0.768 0.230 0.931
0.002 0.800 0.752
0.799 0.006 0.084
0.487 0.325 0.166
0.228 0.996 0.928
0.187 0.479 0.183
0.011 0.793 0.575
0.771 0.232 0.572
0.254 0.082 0.342
0.812 0.514 0.829
0.075 0.381 0.330
0.913 0.472 0.172
0.082 0.658 0.335
0.749 0.923 0.659
0.329 0.487 0.677
0.766 0.022 0.439
0.078 0.253 0.838
0.467 0.913 0.666
0.988 0.204 0.419
0.621 0.922 0.171
0.223 0.981 0.566
0.803 0.990 0.262
0.659 0.260 0.334
0.530 0.382 0.826
0.079 0.539 0.834
0.510 0.672 0.823
0.646 0.666 0.972
0.811 0.669 0.320
0.260 0.656 0.838
0.616 0.471 0.675
0.341 0.738 0.664
0.677 0.510 0.326
0.512 0.811 0.331
0.002 0.236 0.064
0.203 0.998 0.748
0.336 0.352 0.528
0.666 0.810 0.821
0.672 0.655 0.474
0.916 0.626 0.669
0.204 0.796 0.247
0.471 0.620 0.171
0.323 0.188 0.174
0.228 0.788 0.068
0.320 0.339 0.027
0.328 0.764 0.941
0.004 0.990 0.499
0.235 0.663 0.555
0.237 0.097 0.057
0.670 0.231 0.059
0.328 0.906 0.440
0.670 0.095 0.564
0.907 0.328 0.936
0.995 0.936 0.014
0.764 0.338 0.442
```

Density functional theory data (PBE+U) for a relaxed Li5V3P8O29 crystal.

The energy of formation comes out at -2.616 eV per atom. For the energy with MP2020 corrections, the calculation gives -7.585 eV per atom. Its space group is No. 1. As for the crystal system: triclinic.

Geometry as POSCAR:
```
Li5V3P8O29
1.0
9.817 0.000 0.000
4.891 8.541 0.000
0.053 0.049 14.024
O Li P V
58 10 16 6
direct
0.214 0.994 0.244
0.254 0.658 0.159
0.615 0.906 0.822
0.105 0.515 0.175
0.336 0.749 0.340
0.235 0.753 0.926
0.670 0.511 0.672
0.520 0.807 0.673
0.789 0.002 0.750
0.230 0.011 0.425
0.187 0.486 0.835
0.083 0.258 0.169
0.750 0.913 0.343
0.990 0.215 0.745
0.619 0.478 0.326
0.003 0.752 0.431
0.382 0.522 0.680
0.520 0.103 0.676
0.337 0.913 0.842
0.000 0.788 0.250
0.669 0.817 0.166
0.743 0.338 0.838
0.917 0.337 0.338
0.003 0.243 0.568
0.818 0.521 0.175
0.183 0.334 0.329
0.477 0.618 0.821
0.330 0.487 0.330
0.003 0.228 0.926
0.327 0.338 0.478
0.761 0.004 0.570
0.486 0.332 0.831
0.677 0.659 0.022
0.512 0.372 0.175
0.913 0.748 0.841
0.339 0.336 0.980
0.234 0.016 0.065
0.084 0.663 0.662
0.663 0.079 0.164
0.906 0.616 0.321
0.816 0.670 0.668
0.676 0.653 0.523
0.100 0.381 0.678
0.253 0.087 0.667
0.787 0.212 0.249
0.374 0.114 0.175
0.524 0.662 0.172
0.213 0.793 0.745
0.663 0.256 0.661
0.330 0.185 0.836
0.753 0.237 0.067
0.995 0.756 0.070
0.474 0.908 0.322
0.755 0.001 0.931
0.763 0.238 0.430
0.486 0.188 0.335
0.245 0.748 0.564
0.901 0.477 0.826
0.678 0.094 0.441
0.089 0.684 0.940
0.692 0.225 0.940
0.336 0.333 0.114
0.098 0.226 0.443
0.909 0.775 0.561
0.771 0.907 0.060
0.231 0.682 0.439
0.222 0.086 0.939
0.777 0.318 0.559
0.231 0.090 0.157
0.766 0.320 0.340
0.331 0.337 0.372
0.313 0.915 0.341
0.333 0.334 0.873
0.679 0.091 0.659
0.912 0.317 0.842
0.315 0.769 0.841
0.679 0.230 0.158
0.914 0.765 0.342
0.667 0.670 0.127
0.667 0.667 0.629
0.231 0.682 0.656
0.088 0.233 0.659
0.089 0.681 0.158
0.766 0.914 0.841
0.566 0.001 0.254
0.430 0.999 0.748
0.434 0.569 0.246
0.999 0.566 0.751
0.995 0.431 0.246
0.565 0.437 0.751
```

Number 1: excess energy over the best structure of this formula in the dataset 0.0 meV/atom, total magnetic moment 4.0 μB/cell. Number 2: excess energy over the best structure of this formula in the dataset 3.3 meV/atom, total magnetic moment 4.0 μB/cell. Number 3: excess energy over the best structure of this formula in the dataset 2.6 meV/atom, total magnetic moment 4.0 μB/cell. Number 4: excess energy over the best structure of this formula in the dataset 5.0 meV/atom, total magnetic moment 4.0 μB/cell.